Compound: Ba2Ho2Co4O11
Source: the Materials Project database
Functional: PBE with a Hubbard U
Structure: relaxed

```
Ba2Ho2Co4O11
1.0
-3.130 -1.229 -2.007
4.613 -3.356 -5.140
-0.108 -6.597 4.210
Ba Ho Co O
2 2 4 11
direct
0.000 0.000 0.750
0.000 0.000 0.250
0.000 0.500 0.728
0.000 0.500 0.272
0.500 0.745 0.500
0.500 0.255 0.500
0.500 0.739 0.000
0.500 0.261 0.000
0.500 0.694 0.770
0.500 0.694 0.230
0.500 0.306 0.230
0.500 0.306 0.770
0.000 0.281 0.500
0.000 0.719 0.500
0.000 0.316 0.000
0.000 0.684 0.000
0.500 0.000 0.000
0.500 0.000 0.500
0.500 0.500 0.500
```

Calculated values
For the formation energy, the calculation gives -2.294 eV/atom. Its energy above the most stable polymorph in this dataset is 5 meV per atom. For the total magnetization, the calculation gives 8.765 Bohr magnetons per cell. The calculation puts the uncorrected energy at -6.597 eV per atom.

=====

Compound: BaHoCo4O7
Source: the Materials Project database
Functional: PBE with a Hubbard U
Structure: relaxed

```
BaHoCo4O7
1.0
3.191 -5.527 0.000
3.191 5.527 0.000
0.000 0.000 10.405
Ba Ho Co O
2 2 8 14
direct
0.333 0.667 0.977
0.667 0.333 0.477
0.333 0.667 0.374
0.667 0.333 0.874
0.830 0.170 0.184
0.661 0.830 0.684
0.170 0.339 0.684
0.830 0.661 0.184
0.339 0.170 0.184
0.170 0.830 0.684
0.000 0.000 0.939
0.000 0.000 0.439
0.832 0.168 0.999
0.664 0.832 0.499
0.168 0.336 0.499
0.832 0.664 0.999
0.336 0.168 0.999
0.168 0.832 0.499
0.000 0.000 0.740
0.000 0.000 0.240
0.508 0.492 0.256
0.016 0.508 0.756
0.492 0.984 0.756
0.508 0.016 0.256
0.492 0.508 0.756
0.984 0.492 0.256
```

Calculated values
For the formation energy, the calculation gives -2.062 eV/atom. For the total magnetization, the calculation gives 26.000 Bohr magnetons per cell. The calculation puts the uncorrected energy at -6.540 eV per atom.

=====

Compound: Ba2Ho2Co4O11
Source: the Materials Project database
Functional: PBE with a Hubbard U
Structure: relaxed

```
Ba2Ho2Co4O11
1.0
-0.483 -5.512 5.258
-4.688 -4.121 -4.751
6.270 -3.530 -3.125
Ba Ho Co O
4 4 8 22
direct
0.000 0.761 0.000
0.000 0.239 0.000
0.000 0.239 0.500
0.000 0.761 0.500
0.500 0.731 0.500
0.500 0.269 0.000
0.500 0.269 0.500
0.500 0.731 0.000
0.747 0.500 0.750
0.253 0.500 0.250
0.254 0.500 0.750
0.746 0.500 0.250
0.710 0.000 0.750
0.730 0.000 0.250
0.270 0.000 0.750
0.290 0.000 0.250
0.702 0.767 0.750
0.702 0.233 0.750
0.298 0.233 0.250
0.298 0.767 0.250
0.310 0.768 0.750
0.310 0.232 0.750
0.690 0.232 0.250
0.690 0.768 0.250
0.281 0.500 0.999
0.281 0.500 0.501
0.719 0.500 0.499
0.719 0.500 0.001
0.320 0.000 0.005
0.320 0.000 0.495
0.680 0.000 0.505
0.680 0.000 0.995
0.981 0.000 0.250
0.019 0.000 0.750
0.012 0.500 0.250
0.507 0.500 0.750
0.493 0.500 0.250
0.988 0.500 0.750
```

Calculated values
For the formation energy, the calculation gives -2.297 eV/atom. Its energy above the most stable polymorph in this dataset is 3 meV per atom. For the total magnetization, the calculation gives 24.000 Bohr magnetons per cell. The calculation puts the uncorrected energy at -6.600 eV per atom.

=====

Compound: BaHo2CoO5
Source: the Materials Project database
Functional: PBE with a Hubbard U
Structure: relaxed

```
BaHo2CoO5
1.0
5.741 0.000 0.000
0.000 7.108 0.000
0.000 0.000 12.330
Ba Ho Co O
4 8 4 20
direct
0.250 0.922 0.900
0.750 0.078 0.100
0.750 0.422 0.600
0.250 0.578 0.400
0.250 0.119 0.292
0.750 0.881 0.708
0.750 0.619 0.208
0.250 0.381 0.792
0.250 0.401 0.074
0.750 0.599 0.926
0.750 0.901 0.426
0.250 0.099 0.574
0.250 0.693 0.652
0.750 0.307 0.348
0.750 0.193 0.848
0.250 0.807 0.152
0.997 0.166 0.434
0.497 0.834 0.566
0.003 0.666 0.066
0.503 0.334 0.934
0.003 0.834 0.566
0.503 0.166 0.434
0.997 0.334 0.934
0.497 0.666 0.066
0.501 0.361 0.225
0.001 0.639 0.775
0.499 0.861 0.275
0.999 0.139 0.725
0.499 0.639 0.775
0.999 0.361 0.225
0.501 0.139 0.725
0.001 0.861 0.275
0.250 0.076 0.102
0.750 0.924 0.898
0.750 0.576 0.398
0.250 0.424 0.602
```

Calculated values
For the formation energy, the calculation gives -3.094 eV/atom. For the total magnetization, the calculation gives 3.999 Bohr magnetons per cell. The calculation puts the uncorrected energy at -7.301 eV per atom.

=====

Compound: KBa3Y2Co6O16
Source: the Materials Project database
Functional: PBE with a Hubbard U
Structure: relaxed

```
KBa3Y2Co6O16
1.0
-3.082 -4.696 10.800
-9.645 -3.269 6.671
6.536 0.353 -10.264
K Ba Y Co O
1 3 2 6 16
direct
0.416 0.416 0.000
0.916 0.916 0.000
0.085 0.085 0.000
0.582 0.582 0.000
0.751 0.751 0.000
0.253 0.253 0.000
0.332 0.832 0.500
0.832 0.332 0.500
0.172 0.672 0.500
0.672 0.172 0.500
0.998 0.498 0.500
0.498 0.998 0.500
0.418 0.918 0.500
0.918 0.418 0.500
0.081 0.581 0.500
0.581 0.081 0.500
0.563 0.563 0.503
0.059 0.059 0.497
0.563 0.059 0.000
0.059 0.563 0.000
0.437 0.437 0.499
0.938 0.938 0.501
0.437 0.938 0.000
0.938 0.437 0.000
0.247 0.247 0.493
0.754 0.754 0.507
0.247 0.754 0.000
0.754 0.247 0.000
```

Calculated values
For the formation energy, the calculation gives -2.049 eV/atom. For the total magnetization, the calculation gives 18.684 Bohr magnetons per cell. The calculation puts the uncorrected energy at -6.363 eV per atom.

=====

Compound: Ba3La7MnCo9O30
Source: the Materials Project database
Functional: PBE with a Hubbard U
Structure: relaxed

```
Ba3La7MnCo9O30
1.0
-5.429 -1.130 0.342
0.586 -4.369 -5.138
3.295 -13.255 8.487
Ba La Mn Co O
3 7 1 9 30
direct
0.000 0.297 0.601
0.000 0.703 0.399
0.500 0.000 0.500
0.500 0.396 0.302
0.000 0.105 0.200
0.500 0.798 0.102
0.000 0.500 0.000
0.000 0.895 0.800
0.500 0.202 0.898
0.500 0.604 0.698
0.500 0.500 0.500
0.000 0.796 0.601
0.000 0.204 0.399
0.000 0.603 0.197
0.500 0.898 0.301
0.000 0.000 0.000
0.500 0.298 0.099
0.500 0.702 0.901
0.000 0.397 0.803
0.500 0.102 0.699
0.739 0.644 0.557
0.261 0.644 0.557
0.000 0.000 0.500
0.500 0.308 0.606
0.748 0.068 0.336
0.252 0.068 0.336
0.261 0.356 0.443
0.739 0.356 0.443
0.000 0.395 0.289
0.500 0.692 0.394
0.244 0.456 0.146
0.756 0.456 0.146
0.255 0.752 0.239
0.745 0.752 0.239
0.000 0.791 0.098
0.500 0.102 0.193
0.756 0.850 0.952
0.244 0.150 0.048
0.756 0.150 0.048
0.244 0.850 0.952
0.500 0.500 0.000
0.000 0.209 0.902
0.244 0.544 0.854
0.745 0.248 0.761
0.255 0.248 0.761
0.756 0.544 0.854
0.000 0.605 0.711
0.500 0.898 0.807
0.252 0.932 0.664
0.748 0.932 0.664
```

Calculated values
For the formation energy, the calculation gives -2.416 eV/atom. For the total magnetization, the calculation gives 29.315 Bohr magnetons per cell. The calculation puts the uncorrected energy at -6.913 eV per atom.

=====

- Which of these has the lowest uncorrected energy?
  BaHo2CoO5

=====

- Among the records above, which one has the highest uncorrected energy?
  KBa3Y2Co6O16

=====

Please write out number 2 again, unchanged.
Compound: BaHoCo4O7
Source: the Materials Project database
Functional: PBE with a Hubbard U
Structure: relaxed

```
BaHoCo4O7
1.0
3.191 -5.527 0.000
3.191 5.527 0.000
0.000 0.000 10.405
Ba Ho Co O
2 2 8 14
direct
0.333 0.667 0.977
0.667 0.333 0.477
0.333 0.667 0.374
0.667 0.333 0.874
0.830 0.170 0.184
0.661 0.830 0.684
0.170 0.339 0.684
0.830 0.661 0.184
0.339 0.170 0.184
0.170 0.830 0.684
0.000 0.000 0.939
0.000 0.000 0.439
0.832 0.168 0.999
0.664 0.832 0.499
0.168 0.336 0.499
0.832 0.664 0.999
0.336 0.168 0.999
0.168 0.832 0.499
0.000 0.000 0.740
0.000 0.000 0.240
0.508 0.492 0.256
0.016 0.508 0.756
0.492 0.984 0.756
0.508 0.016 0.256
0.492 0.508 0.756
0.984 0.492 0.256
```

Calculated values
For the formation energy, the calculation gives -2.062 eV/atom. For the total magnetization, the calculation gives 26.000 Bohr magnetons per cell. The calculation puts the uncorrected energy at -6.540 eV per atom.

=====

- Which of these has the lowest uncorrected energy?
  BaHo2CoO5